Record 1
Material: SrSmScO4
Method: DFT, PBE-GGA
State: optimized geometry

Computed properties:
The spin magnetization is 0.0 μB per cell. The calculation puts the formation energy at -3.63 eV/atom. The calculation puts the mass density at 5.59 g cm⁻³. Its crystal system is orthorhombic.

```
14
Lattice="-3.940 3.072 4.576 -1.610 -2.968 -5.873 -0.749 -5.122 2.793" Properties=species:S:1:pos:R:3 pbc="T T T"
Sr -2.541 -0.637 -1.707
Sr -3.401 -1.938 1.870
Sm -2.599 -7.401 -1.999
Sm -4.061 -0.081 4.838
O -2.027 0.160 2.661
O -1.368 -5.079 -0.576
O -4.250 -5.025 -1.249
O -3.665 -4.197 2.819
O -4.909 0.214 1.987
O -2.901 -2.647 -0.327
O -3.862 2.126 4.165
O -2.220 -5.660 -3.479
Sc -4.093 -3.556 4.700
Sc -2.572 -3.967 -1.838
```

Record 2
Material: Sm2ScTaO7
Method: DFT, PBE-GGA
State: optimized geometry

Computed properties:
The spin magnetization is 0.0 μB per cell. The calculation puts the formation energy at -3.79 eV/atom. The calculation puts the mass density at 7.20 g cm⁻³. Its crystal system is orthorhombic.

```
22
Lattice="-3.706 3.767 5.278 3.706 -3.767 5.278 3.706 3.767 -5.278" Properties=species:S:1:pos:R:3 pbc="T T T"
Ta 0.000 3.767 0.000
Ta 0.000 0.000 0.000
Sc 1.853 1.884 -2.639
Sc 1.853 -1.884 2.639
O 3.706 1.884 -1.612
O 2.235 4.014 3.956
O 2.235 -0.246 3.956
O 5.941 -0.246 1.322
O 1.471 -0.246 1.322
O 0.000 1.884 6.890
O 3.706 1.884 1.354
O 0.000 1.884 0.702
O -2.235 4.014 3.956
O 0.000 1.884 3.924
O 2.235 0.246 6.600
O 1.471 4.014 1.322
O 3.706 1.884 4.576
O 1.471 3.521 -1.322
Sm 0.000 0.000 5.278
Sm 3.706 0.000 0.000
Sm -1.853 1.884 2.639
Sm 1.853 1.884 2.639
```

Record 3
Material: ScSnO3
Method: DFT, PBE-GGA
State: optimized geometry

Computed properties:
The spin magnetization is 0.9 μB per cell. The calculation puts the formation energy at -2.27 eV/atom. The calculation puts the mass density at 5.07 g cm⁻³. Its crystal system is cubic.

```
5
Lattice="-3.833 1.206 0.849 -1.178 -3.926 0.261 0.889 0.001 4.010" Properties=species:S:1:pos:R:3 pbc="T T T"
O -0.589 -1.963 0.131
O -1.917 0.603 0.425
O 0.444 0.000 2.005
Sn -2.061 -1.360 2.560
Sc 0.000 0.000 0.000
```

Record 4
Material: SrTb2Sc2O7
Method: DFT, PBE-GGA
State: optimized geometry

Computed properties:
The spin magnetization is 0.0 μB per cell. The calculation puts the formation energy at -3.72 eV/atom. The calculation puts the mass density at 6.09 g cm⁻³. Its crystal system is tetragonal.

```
12
Lattice="-2.861 -2.861 0.000 -2.861 2.861 0.000 2.861 0.000 -10.121" Properties=species:S:1:pos:R:3 pbc="T T T"
Tb -2.861 0.000 -3.705
Tb 0.000 0.000 -6.416
O 0.000 0.000 -4.285
O 0.000 0.000 0.000
O -1.430 1.431 -7.816
O -1.430 -1.431 -2.305
O -1.430 -1.431 -7.816
O -1.430 1.431 -2.305
O -2.861 0.000 -5.836
Sc 0.000 0.000 -2.079
Sc -2.861 0.000 -8.041
Sr -2.861 0.000 0.000
```

Record 5
Material: TbScO3
Method: DFT, PBE-GGA
State: optimized geometry

Computed properties:
The calculation puts the formation energy at -3.96 eV/atom. The calculation puts the mass density at 6.63 g cm⁻³. Its crystal system is orthorhombic.

```
20
Lattice="5.473 0.000 0.000 0.000 5.763 0.000 0.000 0.000 8.000" Properties=species:S:1:pos:R:3 pbc="T T T"
O 3.439 0.318 2.000
O 3.788 1.761 4.538
O 1.051 1.120 0.538
O 4.422 4.643 4.538
O 1.686 4.002 3.462
O 3.788 1.761 7.461
O 4.422 4.643 7.461
O 4.771 3.199 2.000
O 2.034 5.446 6.000
O 1.686 4.002 0.538
O 0.702 2.564 6.000
O 1.051 1.120 3.462
Tb 5.365 0.357 6.000
Tb 2.845 3.239 6.000
Tb 0.109 5.406 2.000
Tb 2.628 2.524 2.000
Sc 0.000 2.882 0.000
Sc 0.000 2.882 4.000
Sc 2.737 0.000 0.000
Sc 2.737 0.000 4.000
```

Record 6
Material: Sc2Te5O13
Method: DFT, PBE-GGA
State: optimized geometry

Computed properties:
The calculation puts the formation energy at -2.13 eV/atom. The calculation puts the mass density at 5.24 g cm⁻³. Its crystal system is triclinic.

```
40
Lattice="-0.424 -1.865 6.419 -7.513 -4.344 0.778 4.541 -9.441 -1.744" Properties=species:S:1:pos:R:3 pbc="T T T"
O -6.419 -8.896 6.122
O -3.134 -4.441 1.550
O -0.783 -3.936 0.170
O -5.199 -4.006 3.582
O 0.763 -6.574 2.165
O 1.662 -8.906 0.770
O -1.374 -4.568 3.968
O -5.058 -6.745 4.682
O 1.803 -11.644 1.870
O 0.310 -11.049 -0.278
O -2.613 -11.714 5.283
O -2.021 -11.082 1.484
O -4.425 -6.543 2.127
O -4.158 -9.076 3.288
O -0.080 -6.947 -0.550
O 1.030 -9.107 3.326
O -2.250 -6.986 3.962
O -7.084 -6.086 2.838
O 3.688 -9.564 2.614
O -3.705 -4.601 5.730
O -6.004 -4.216 0.844
O -1.146 -8.665 1.490
O 2.609 -11.434 4.608
O -0.261 -11.209 3.903
O -3.315 -8.704 6.003
O 3.023 -6.755 -0.669
Te -0.902 -6.786 1.174
Te -3.132 -9.829 0.565
Te 2.275 -8.044 2.348
Te -5.670 -7.606 3.105
Te -2.278 -13.603 0.828
Te -2.493 -8.865 4.278
Te -1.064 -12.852 4.439
Te -2.331 -2.798 1.014
Te -1.117 -2.047 4.625
Te -0.263 -5.821 4.887
Sc -3.454 -5.187 3.635
Sc 1.184 -9.994 5.239
Sc 0.059 -10.463 1.818
Sc -4.579 -5.656 0.214
```

Record 7
Material: Sc2Te3O9
Method: DFT, PBE-GGA
State: optimized geometry

Computed properties:
The spin magnetization is 0.0 μB per cell. The calculation puts the formation energy at -2.39 eV/atom. The calculation puts the mass density at 4.65 g cm⁻³. Its crystal system is monoclinic.

```
56
Lattice="24.768 0.000 0.000 0.000 5.320 0.000 0.000 3.303 6.678" Properties=species:S:1:pos:R:3 pbc="T T T"
Te 19.240 7.515 4.481
Te 10.793 7.988 6.005
Te 17.912 5.863 1.142
Te 1.591 6.337 2.665
Te 5.528 1.109 2.197
Te 2.898 7.111 6.504
Te 21.870 1.513 0.174
Te 23.177 2.287 4.013
Te 9.486 5.459 3.165
Te 15.282 3.164 3.514
Te 13.975 0.635 0.674
Te 6.856 2.760 5.536
O 19.713 5.279 0.917
O 16.909 4.435 0.407
O 21.756 2.911 1.433
O 7.329 1.693 2.422
O 17.980 4.973 6.310
O 20.243 6.087 3.746
O 11.718 7.341 4.435
O 11.195 4.698 3.663
O 13.573 3.925 3.015
O 21.908 3.701 4.135
O 23.579 5.577 6.354
O 2.264 3.148 5.301
O 24.102 2.934 5.583
O 7.859 4.188 6.272
O 15.396 4.563 4.772
O 0.411 5.613 3.962
O 10.120 1.496 1.962
O 9.372 4.061 1.906
O 19.173 3.322 2.971
O 0.666 5.689 1.096
O 14.648 7.127 4.716
O 17.439 6.930 4.256
O 13.050 1.282 2.244
O 9.524 6.574 5.883
O 1.189 3.047 0.324
O 5.595 5.302 3.707
O 5.055 3.345 5.762
O 11.973 3.962 0.623
O 2.860 4.922 2.544
O 24.357 3.010 2.717
O 3.012 5.712 5.246
O 4.525 2.537 2.932
O 15.244 2.049 0.795
O 12.795 4.661 6.056
O 6.789 3.650 0.368
O 22.504 5.475 1.377
Sc 20.791 4.491 2.524
Sc 24.092 3.993 0.910
Sc 8.407 2.480 0.815
Sc 0.676 4.630 5.768
Sc 13.060 5.645 4.249
Sc 3.977 4.132 4.154
Sc 16.361 6.143 5.864
Sc 11.708 2.979 2.429
```

Record 8
Material: Sc6TeO12
Method: DFT, PBE-GGA
State: optimized geometry

Computed properties:
The spin magnetization is 0.0 μB per cell. The calculation puts the formation energy at -2.95 eV/atom. The calculation puts the mass density at 2.04 g cm⁻³. Its crystal system is triclinic.

```
19
Lattice="-6.710 4.443 -4.497 -7.081 1.645 5.573 6.353 4.120 -0.519" Properties=species:S:1:pos:R:3 pbc="T T T"
O -2.903 2.828 -1.046
O -5.349 4.134 -3.144
O -3.064 1.925 2.041
O -0.131 1.893 0.523
O -9.699 6.036 1.201
O -5.696 2.025 4.275
O -1.741 8.183 -3.718
O -4.534 7.380 1.603
O -7.307 8.315 0.034
O 2.262 4.172 -0.644
O -4.373 8.283 -1.484
O -2.088 6.074 3.701
Sc -10.507 6.215 -0.526
Sc 3.070 3.993 1.083
Sc -5.537 7.587 -0.077
Sc -3.930 6.606 3.435
Sc -3.508 3.602 -2.878
Sc -1.900 2.621 0.634
Te 0.000 0.000 0.000
```